Entry 1:
{
  "formula": "MgFe4O4F4",
  "functional": "PBE+U",
  "state": "optimized geometry",
  "lattice": [[5.1742, 0.0000, 0.0000], [-0.9129, 5.3437, 0.0000], [-0.1120, -0.0251, 5.9566]],
  "species": ["Mg", "Fe", "Fe", "Fe", "Fe", "O", "O", "O", "O", "F", "F", "F", "F"],
  "fractional_positions": [[0.0000, 0.0000, 0.0000], [0.1137, 0.4943, 0.7250], [0.1187, 0.4880, 0.2556], [0.4893, 0.0357, 0.9876], [0.5352, 0.1318, 0.4931], [0.1972, 0.7219, 0.9783], [0.3117, 0.2214, 0.7382], [0.3127, 0.1980, 0.2397], [0.8445, 0.3915, 0.5022], [0.3024, 0.7434, 0.5047], [0.7325, 0.9224, 0.7441], [0.7342, 0.9230, 0.2411], [0.8576, 0.3197, 0.9823]],
  "volume_a3_per_atom": 12.7,
  "spacegroup": "P1, No. 1",
  "e_tot_ev_per_atom": -5.92,
  "magnetic_moment_mub_per_cell": 18.0
}

=====

Entry 2:
{
  "formula": "MgFe6O10F2",
  "functional": "PBE+U",
  "state": "optimized geometry",
  "lattice": [[2.9569, 0.0000, 0.0000], [0.0040, 6.7927, 0.0000], [0.0093, 3.0491, 10.7427]],
  "species": ["Mg", "Fe", "Fe", "Fe", "Fe", "Fe", "Fe", "O", "O", "O", "O", "O", "O", "O", "O", "O", "O", "F", "F"],
  "fractional_positions": [[0.0000, 0.0000, 0.0000], [0.0015, 0.1598, 0.2090], [0.4976, 0.0155, 0.4994], [0.4977, 0.3597, 0.8058], [0.5005, 0.6322, 0.2108], [0.9979, 0.4809, 0.5031], [0.9979, 0.8400, 0.7894], [0.0002, 0.6211, 0.3210], [0.4981, 0.3077, 0.4919], [0.4982, 0.6525, 0.7999], [0.4985, 0.9894, 0.8618], [0.5001, 0.9955, 0.1390], [0.5012, 0.3515, 0.1953], [0.9969, 0.9625, 0.6152], [0.9977, 0.3017, 0.9202], [0.9983, 0.3789, 0.6899], [0.9987, 0.0356, 0.3844], [0.0006, 0.6996, 0.0709], [0.4982, 0.6812, 0.5202]],
  "volume_a3_per_atom": 11.4,
  "spacegroup": "P1, No. 1",
  "e_tot_ev_per_atom": -6.15,
  "magnetic_moment_mub_per_cell": 26.0
}

=====

Entry 3:
{
  "formula": "MgFe4O4F4",
  "functional": "PBE+U",
  "state": "optimized geometry",
  "lattice": [[3.3565, 0.0000, 0.0000], [-0.0398, 5.4713, 0.0000], [-1.6595, -0.0781, 9.1808]],
  "species": ["Mg", "Fe", "Fe", "Fe", "Fe", "O", "O", "O", "O", "F", "F", "F", "F"],
  "fractional_positions": [[0.0000, 0.0000, 0.0000], [0.1527, 0.6502, 0.3257], [0.3177, 0.8440, 0.6529], [0.5144, 0.5017, 0.0432], [0.7550, 0.3111, 0.5310], [0.0452, 0.6980, 0.1196], [0.2780, 0.5298, 0.5716], [0.6553, 0.4836, 0.3328], [0.8223, 0.0108, 0.6585], [0.2025, 0.9741, 0.4222], [0.4264, 0.8255, 0.8770], [0.5518, 0.1277, 0.0966], [0.9769, 0.3347, 0.9174]],
  "volume_a3_per_atom": 13.0,
  "spacegroup": "P1, No. 1",
  "e_tot_ev_per_atom": -5.99,
  "magnetic_moment_mub_per_cell": 18.0
}

=====

Entry 4:
{
  "formula": "MgFe12O12F12",
  "functional": "PBE+U",
  "state": "optimized geometry",
  "lattice": [[9.7106, 0.0000, 0.0000], [0.0000, 3.0921, 0.0000], [-0.5460, 0.0000, 14.5151]],
  "species": ["Mg", "Fe", "Fe", "Fe", "Fe", "Fe", "Fe", "Fe", "Fe", "Fe", "Fe", "Fe", "Fe", "O", "O", "O", "O", "O", "O", "O", "O", "O", "O", "O", "O", "F", "F", "F", "F", "F", "F", "F", "F", "F", "F", "F", "F"],
  "fractional_positions": [[0.0000, 0.0000, 0.0000], [0.0033, 0.0000, 0.1765], [0.0364, 0.0000, 0.5006], [0.0663, 0.0000, 0.8122], [0.2610, 0.5000, 0.9978], [0.2643, 0.5000, 0.3572], [0.2686, 0.5000, 0.6563], [0.5094, 0.0000, 0.8602], [0.5156, 0.0000, 0.1837], [0.5267, 0.0000, 0.4906], [0.7181, 0.5000, 0.0278], [0.7453, 0.5000, 0.3409], [0.7641, 0.5000, 0.6782], [0.0915, 0.5000, 0.0777], [0.1048, 0.5000, 0.4345], [0.1304, 0.5000, 0.7532], [0.1712, 0.0000, 0.9279], [0.1866, 0.0000, 0.5950], [0.3624, 0.0000, 0.4083], [0.4110, 0.5000, 0.9074], [0.5782, 0.5000, 0.1192], [0.6222, 0.5000, 0.4464], [0.6580, 0.0000, 0.2820], [0.6602, 0.0000, 0.9481], [0.8390, 0.0000, 0.0773], [0.1703, 0.0000, 0.2742], [0.3456, 0.0000, 0.0775], [0.3754, 0.0000, 0.7286], [0.3988, 0.5000, 0.2450], [0.4354, 0.5000, 0.5715], [0.6074, 0.5000, 0.7810], [0.6645, 0.0000, 0.6096], [0.8592, 0.0000, 0.4111], [0.8758, 0.0000, 0.7447], [0.9096, 0.5000, 0.2558], [0.9289, 0.5000, 0.5706], [0.9464, 0.5000, 0.9003]],
  "volume_a3_per_atom": 11.8,
  "spacegroup": "Pm, No. 6",
  "e_tot_ev_per_atom": -5.99,
  "magnetic_moment_mub_per_cell": 58.0
}

=====

Entry 5:
{
  "formula": "MgFe6O7F5",
  "functional": "PBE+U",
  "state": "optimized geometry",
  "lattice": [[5.1244, 0.0000, 0.0000], [0.5962, 5.6966, 0.0000], [0.5810, 0.7945, 7.8541]],
  "species": ["Mg", "Fe", "Fe", "Fe", "Fe", "Fe", "Fe", "O", "O", "O", "O", "O", "O", "O", "F", "F", "F", "F", "F"],
  "fractional_positions": [[0.0000, 0.0000, 0.0000], [0.0288, 0.3972, 0.1825], [0.0407, 0.6262, 0.8089], [0.4881, 0.7917, 0.1445], [0.5240, 0.5070, 0.4887], [0.5312, 0.1211, 0.7756], [0.9979, 0.9984, 0.4495], [0.1947, 0.6566, 0.0445], [0.3158, 0.8006, 0.3828], [0.3311, 0.4554, 0.7089], [0.7132, 0.8428, 0.9243], [0.7252, 0.5693, 0.2659], [0.7428, 0.2133, 0.5591], [0.8858, 0.0895, 0.2276], [0.1699, 0.9568, 0.7506], [0.2418, 0.3080, 0.3811], [0.3345, 0.1320, 0.0469], [0.8363, 0.7105, 0.5906], [0.8827, 0.3460, 0.9294]],
  "volume_a3_per_atom": 12.1,
  "spacegroup": "P1, No. 1",
  "e_tot_ev_per_atom": -6.00,
  "magnetic_moment_mub_per_cell": 29.0
}

=====

Entry 6:
{
  "formula": "MgFe6O10F2",
  "functional": "PBE+U",
  "state": "optimized geometry",
  "lattice": [[5.7266, 0.0000, 0.0000], [0.8781, 5.8510, 0.0000], [2.0953, 1.9861, 6.5490]],
  "species": ["Mg", "Fe", "Fe", "Fe", "Fe", "Fe", "Fe", "O", "O", "O", "O", "O", "O", "O", "O", "O", "O", "F", "F"],
  "fractional_positions": [[0.0000, 0.0000, 0.0000], [0.3882, 0.7972, 0.1701], [0.3904, 0.7572, 0.6609], [0.5881, 0.2178, 0.3406], [0.6075, 0.1753, 0.8262], [0.9542, 0.5259, 0.9955], [0.9890, 0.4918, 0.4958], [0.0987, 0.5872, 0.7034], [0.2334, 0.7096, 0.9575], [0.2981, 0.1249, 0.0116], [0.3342, 0.4735, 0.3439], [0.4353, 0.9231, 0.3743], [0.5483, 0.0441, 0.6289], [0.6456, 0.5029, 0.6547], [0.7207, 0.8195, 0.9962], [0.7478, 0.2696, 0.0380], [0.8765, 0.3969, 0.2928], [0.9877, 0.8309, 0.3059], [0.9955, 0.1498, 0.6923]],
  "volume_a3_per_atom": 11.5,
  "spacegroup": "P1, No. 1",
  "e_tot_ev_per_atom": -6.21,
  "magnetic_moment_mub_per_cell": 28.0
}